Record 1
Here is an optimized crystal structure of Na6Ca4Ta20Si21S15O144 from Materials Project. Energies are from GGA-PBE.

Lattice parameters (Å, degrees): 17.809 8.920 23.106 90.01 89.89 120.01
Sites, in units of the cell vectors:
Na: 0.998 0.997 0.499
Na: 0.500 0.003 0.002
Na: 0.337 0.314 0.837
Na: 0.833 0.333 0.835
Na: 0.336 0.336 0.333
Na: 0.831 0.353 0.334
Ca: 0.998 0.983 0.355
Ca: 0.498 0.015 0.855
Ca: 0.994 0.006 0.646
Ca: 0.496 0.979 0.148
Ta: 0.502 0.991 0.359
Ta: 0.995 0.001 0.861
Ta: 0.493 0.991 0.639
Ta: 0.993 0.994 0.139
Ta: 0.335 0.335 0.684
Ta: 0.838 0.321 0.684
Ta: 0.340 0.360 0.186
Ta: 0.830 0.324 0.189
Ta: 0.330 0.331 0.979
Ta: 0.843 0.346 0.979
Ta: 0.343 0.341 0.476
Ta: 0.829 0.327 0.477
Ta: 0.158 0.659 0.025
Ta: 0.668 0.662 0.026
Ta: 0.169 0.674 0.524
Ta: 0.659 0.658 0.523
Ta: 0.166 0.679 0.314
Ta: 0.667 0.660 0.309
Ta: 0.169 0.679 0.812
Ta: 0.666 0.655 0.814
Si: 0.646 0.001 0.252
Si: 0.353 0.712 0.253
Si: 0.856 0.709 0.249
Si: 0.354 0.001 0.749
Si: 0.852 0.998 0.752
Si: 0.476 0.331 0.582
Si: 0.980 0.335 0.578
Si: 0.690 0.044 0.583
Si: 0.329 0.611 0.582
Si: 0.479 0.628 0.079
Si: 0.974 0.618 0.086
Si: 0.830 0.048 0.083
Si: 0.190 0.336 0.084
Si: 0.806 0.656 0.918
Si: 0.026 0.386 0.916
Si: 0.521 0.380 0.920
Si: 0.167 0.954 0.917
Si: 0.310 0.956 0.417
Si: 0.666 0.383 0.416
Si: 0.021 0.663 0.420
Si: 0.527 0.667 0.416
S: 0.150 0.004 0.247
S: 0.001 0.296 0.249
S: 0.498 0.291 0.251
S: 0.149 0.295 0.754
S: 0.650 0.298 0.747
S: 0.999 0.706 0.752
S: 0.500 0.704 0.749
S: 0.194 0.051 0.580
S: 0.831 0.612 0.580
S: 0.331 0.048 0.080
S: 0.693 0.335 0.080
S: 0.306 0.660 0.919
S: 0.669 0.950 0.920
S: 0.806 0.950 0.420
S: 0.170 0.389 0.420
O: 0.122 0.048 0.300
O: 0.597 0.034 0.307
O: 0.418 0.807 0.308
O: 0.910 0.761 0.307
O: 0.483 0.182 0.302
O: 0.984 0.194 0.301
O: 0.106 0.178 0.804
O: 0.622 0.196 0.800
O: 0.481 0.768 0.801
O: 0.987 0.793 0.803
O: 0.407 0.057 0.807
O: 0.919 0.029 0.807
O: 0.406 0.974 0.694
O: 0.882 0.953 0.694
O: 0.101 0.233 0.700
O: 0.593 0.211 0.698
O: 0.018 0.804 0.699
O: 0.512 0.814 0.698
O: 0.377 0.808 0.193
O: 0.908 0.844 0.194
O: 0.014 0.212 0.197
O: 0.514 0.229 0.197
O: 0.093 0.976 0.197
O: 0.597 0.960 0.193
O: 0.427 0.359 0.638
O: 0.933 0.358 0.639
O: 0.245 0.135 0.634
O: 0.754 0.142 0.640
O: 0.314 0.492 0.640
O: 0.820 0.507 0.634
O: 0.433 0.509 0.139
O: 0.926 0.490 0.138
O: 0.318 0.129 0.133
O: 0.815 0.136 0.139
O: 0.254 0.365 0.139
O: 0.743 0.354 0.133
O: 0.233 0.300 0.026
O: 0.739 0.319 0.028
O: 0.413 0.503 0.027
O: 0.918 0.534 0.025
O: 0.337 0.150 0.027
O: 0.845 0.173 0.026
O: 0.238 0.158 0.529
O: 0.733 0.168 0.527
O: 0.345 0.515 0.527
O: 0.838 0.523 0.528
O: 0.417 0.301 0.525
O: 0.913 0.320 0.527
O: 0.262 0.679 0.970
O: 0.765 0.692 0.974
O: 0.082 0.475 0.974
O: 0.586 0.499 0.972
O: 0.155 0.831 0.973
O: 0.663 0.851 0.972
O: 0.265 0.838 0.474
O: 0.762 0.846 0.472
O: 0.163 0.476 0.473
O: 0.657 0.483 0.474
O: 0.086 0.674 0.473
O: 0.581 0.688 0.475
O: 0.066 0.635 0.360
O: 0.572 0.633 0.361
O: 0.244 0.862 0.361
O: 0.757 0.872 0.366
O: 0.181 0.494 0.367
O: 0.685 0.508 0.360
O: 0.074 0.504 0.860
O: 0.567 0.498 0.860
O: 0.184 0.862 0.859
O: 0.681 0.866 0.867
O: 0.255 0.641 0.865
O: 0.745 0.628 0.860
O: 0.016 0.835 0.424
O: 0.515 0.834 0.409
O: 0.404 0.983 0.402
O: 0.894 0.981 0.418
O: 0.093 0.218 0.416
O: 0.580 0.197 0.404
O: 0.015 0.194 0.906
O: 0.515 0.197 0.923
O: 0.082 0.970 0.900
O: 0.592 0.966 0.915
O: 0.393 0.806 0.916
O: 0.903 0.824 0.904
O: 0.487 0.163 0.595
O: 0.990 0.168 0.577
O: 0.107 0.026 0.585
O: 0.596 0.021 0.602
O: 0.418 0.799 0.594
O: 0.910 0.779 0.583
O: 0.486 0.809 0.074
O: 0.988 0.811 0.095
O: 0.409 0.038 0.082
O: 0.918 0.035 0.093
O: 0.097 0.172 0.101
O: 0.606 0.189 0.082
O: 0.332 0.156 0.732
O: 0.844 0.180 0.745
O: 0.238 0.316 0.748
O: 0.741 0.338 0.735
O: 0.421 0.523 0.738
O: 0.920 0.531 0.747
O: 0.344 0.511 0.244
O: 0.838 0.515 0.230
O: 0.417 0.309 0.245
O: 0.924 0.321 0.239
O: 0.241 0.146 0.235
O: 0.746 0.175 0.246
O: 0.308 0.494 0.923
O: 0.815 0.482 0.924
O: 0.425 0.368 0.925
O: 0.929 0.362 0.923
O: 0.252 0.145 0.924
O: 0.750 0.126 0.923
O: 0.314 0.145 0.425
O: 0.809 0.123 0.424
O: 0.250 0.372 0.425
O: 0.751 0.359 0.425
O: 0.429 0.495 0.424
O: 0.925 0.484 0.426
O: 0.184 0.509 0.071
O: 0.692 0.502 0.075
O: 0.069 0.639 0.074
O: 0.572 0.632 0.072
O: 0.252 0.874 0.072
O: 0.749 0.859 0.071
O: 0.192 0.883 0.576
O: 0.684 0.859 0.572
O: 0.248 0.639 0.572
O: 0.753 0.629 0.574
O: 0.073 0.516 0.572
O: 0.570 0.502 0.575
O: 0.155 0.840 0.255
O: 0.662 0.843 0.272
O: 0.254 0.664 0.272
O: 0.759 0.688 0.258
O: 0.078 0.471 0.256
O: 0.572 0.472 0.261
O: 0.162 0.471 0.767
O: 0.655 0.472 0.756
O: 0.074 0.675 0.764
O: 0.576 0.681 0.755
O: 0.258 0.822 0.758
O: 0.754 0.845 0.772

Properties
Corrected total energy (MP2020 scheme), eV per cell: -1738.49
Space-group type: P1 (1)

***

Record 2
Here is an optimized crystal structure of Na14Ca4Ta4Si9S3O48 from Materials Project. Energies are from GGA-PBE.

Lattice parameters (Å, degrees): 18.621 9.310 22.603 89.90 90.19 120.04
Sites, in units of the cell vectors:
Na: 0.825 0.012 0.260
Na: 0.168 0.337 0.250
Na: 0.658 0.345 0.253
Na: 0.012 0.667 0.242
Na: 0.512 0.656 0.256
Na: 0.324 0.635 0.764
Na: 0.011 0.366 0.761
Na: 0.510 0.360 0.747
Na: 0.160 0.975 0.758
Na: 0.662 0.987 0.757
Na: 0.144 0.304 0.590
Na: 0.642 0.308 0.592
Na: 0.343 0.001 0.580
Na: 0.834 0.973 0.594
Na: 0.145 0.981 0.093
Na: 0.638 0.975 0.090
Na: 0.346 0.693 0.092
Na: 0.841 0.689 0.074
Na: 0.479 0.662 0.922
Na: 0.976 0.644 0.921
Na: 0.354 0.054 0.917
Na: 0.847 0.036 0.917
Na: 0.169 0.291 0.930
Na: 0.667 0.277 0.919
Na: 0.477 0.311 0.419
Na: 0.983 0.302 0.406
Na: 0.171 0.062 0.413
Na: 0.669 0.046 0.427
Na: 0.348 0.657 0.411
Na: 0.851 0.652 0.412
Na: 0.019 0.989 0.499
Na: 0.512 0.008 0.505
Na: 0.013 0.020 0.008
Na: 0.515 0.024 0.005
Na: 0.331 0.330 0.842
Na: 0.831 0.335 0.844
Na: 0.330 0.321 0.337
Na: 0.832 0.336 0.337
Na: 0.173 0.673 0.169
Na: 0.644 0.634 0.169
Na: 0.149 0.653 0.674
Na: 0.667 0.669 0.672
Ca: 0.009 0.018 0.349
Ca: 0.507 0.995 0.851
Ca: 0.998 0.995 0.654
Ca: 0.509 0.999 0.653
Ca: 0.010 0.017 0.154
Ca: 0.497 0.997 0.152
Ca: 0.336 0.333 0.986
Ca: 0.830 0.331 0.981
Ca: 0.330 0.329 0.480
Ca: 0.835 0.339 0.484
Ca: 0.664 0.666 0.317
Ca: 0.164 0.662 0.818
Ta: 0.503 0.013 0.350
Ta: 0.001 0.991 0.851
Ta: 0.331 0.322 0.681
Ta: 0.833 0.324 0.690
Ta: 0.339 0.355 0.187
Ta: 0.833 0.342 0.181
Ta: 0.152 0.649 0.019
Ta: 0.661 0.651 0.020
Ta: 0.170 0.685 0.516
Ta: 0.652 0.656 0.520
Ta: 0.167 0.668 0.314
Ta: 0.667 0.666 0.816
Si: 0.159 0.003 0.249
Si: 0.655 0.012 0.248
Si: 0.349 0.702 0.250
Si: 0.996 0.309 0.255
Si: 0.497 0.300 0.248
Si: 0.153 0.297 0.746
Si: 0.655 0.314 0.749
Si: 0.999 0.697 0.748
Si: 0.495 0.682 0.754
Si: 0.849 0.996 0.749
Si: 0.481 0.328 0.577
Si: 0.180 0.022 0.578
Si: 0.690 0.029 0.580
Si: 0.487 0.631 0.078
Si: 0.982 0.635 0.077
Si: 0.189 0.349 0.080
Si: 0.682 0.339 0.078
Si: 0.814 0.677 0.918
Si: 0.017 0.351 0.912
Si: 0.521 0.368 0.914
Si: 0.166 0.960 0.912
Si: 0.663 0.946 0.919
Si: 0.317 0.957 0.414
Si: 0.161 0.378 0.421
Si: 0.666 0.372 0.414
Si: 0.022 0.673 0.413
Si: 0.517 0.683 0.412
S: 0.849 0.691 0.246
S: 0.349 0.006 0.745
S: 0.988 0.350 0.584
S: 0.324 0.622 0.586
S: 0.827 0.624 0.581
S: 0.325 0.025 0.080
S: 0.827 0.032 0.087
S: 0.314 0.678 0.921
S: 0.815 0.949 0.423
O: 0.128 0.061 0.306
O: 0.599 0.040 0.305
O: 0.419 0.813 0.303
O: 0.896 0.764 0.302
O: 0.487 0.180 0.310
O: 0.963 0.196 0.314
O: 0.097 0.157 0.802
O: 0.625 0.189 0.805
O: 0.462 0.729 0.813
O: 0.987 0.794 0.808
O: 0.397 0.027 0.800
O: 0.919 0.026 0.802
O: 0.391 0.995 0.692
O: 0.875 0.968 0.685
O: 0.098 0.240 0.687
O: 0.596 0.253 0.692
O: 0.022 0.824 0.695
O: 0.525 0.820 0.704
O: 0.372 0.785 0.187
O: 0.892 0.790 0.194
O: 0.025 0.226 0.206
O: 0.522 0.218 0.198
O: 0.094 0.934 0.194
O: 0.598 0.959 0.190
O: 0.423 0.341 0.633
O: 0.942 0.360 0.637
O: 0.249 0.140 0.633
O: 0.758 0.143 0.636
O: 0.319 0.509 0.638
O: 0.826 0.513 0.629
O: 0.432 0.507 0.137
O: 0.926 0.508 0.134
O: 0.321 0.130 0.128
O: 0.824 0.136 0.139
O: 0.256 0.375 0.136
O: 0.751 0.358 0.133
O: 0.228 0.332 0.020
O: 0.721 0.322 0.017
O: 0.443 0.552 0.017
O: 0.936 0.559 0.016
O: 0.333 0.102 0.021
O: 0.839 0.120 0.032
O: 0.221 0.110 0.516
O: 0.732 0.120 0.519
O: 0.335 0.556 0.531
O: 0.836 0.564 0.523
O: 0.436 0.313 0.516
O: 0.946 0.349 0.529
O: 0.260 0.677 0.971
O: 0.771 0.696 0.980
O: 0.081 0.469 0.971
O: 0.583 0.483 0.971
O: 0.155 0.825 0.969
O: 0.668 0.838 0.977
O: 0.269 0.849 0.478
O: 0.762 0.845 0.474
O: 0.166 0.493 0.481
O: 0.656 0.485 0.471
O: 0.086 0.685 0.472
O: 0.581 0.693 0.472
O: 0.078 0.680 0.357
O: 0.557 0.659 0.355
O: 0.253 0.830 0.365
O: 0.772 0.882 0.366
O: 0.153 0.483 0.365
O: 0.686 0.474 0.353
O: 0.056 0.454 0.854
O: 0.578 0.476 0.857
O: 0.182 0.896 0.851
O: 0.655 0.831 0.861
O: 0.274 0.670 0.863
O: 0.753 0.678 0.865
O: 0.012 0.834 0.418
O: 0.521 0.866 0.413
O: 0.406 0.959 0.410
O: 0.894 0.945 0.426
O: 0.077 0.201 0.427
O: 0.575 0.193 0.412
O: 0.022 0.177 0.912
O: 0.513 0.188 0.918
O: 0.074 0.956 0.910
O: 0.578 0.954 0.926
O: 0.394 0.835 0.926
O: 0.905 0.851 0.907
O: 0.494 0.170 0.585
O: 0.993 0.198 0.586
O: 0.093 0.011 0.585
O: 0.601 0.017 0.586
O: 0.391 0.793 0.596
O: 0.893 0.798 0.587
O: 0.495 0.811 0.085
O: 0.994 0.818 0.085
O: 0.391 0.986 0.087
O: 0.894 0.994 0.097
O: 0.099 0.187 0.088
O: 0.593 0.181 0.087
O: 0.345 0.167 0.741
O: 0.847 0.180 0.745
O: 0.242 0.290 0.739
O: 0.746 0.323 0.732
O: 0.413 0.496 0.734
O: 0.912 0.513 0.737
O: 0.349 0.518 0.246
O: 0.847 0.524 0.242
O: 0.410 0.309 0.240
O: 0.914 0.332 0.236
O: 0.247 0.174 0.230
O: 0.744 0.198 0.241
O: 0.325 0.532 0.923
O: 0.825 0.517 0.911
O: 0.433 0.361 0.910
O: 0.925 0.318 0.921
O: 0.241 0.148 0.921
O: 0.746 0.123 0.912
O: 0.325 0.136 0.409
O: 0.832 0.122 0.427
O: 0.245 0.370 0.413
O: 0.741 0.334 0.423
O: 0.425 0.531 0.421
O: 0.935 0.499 0.412
O: 0.186 0.530 0.077
O: 0.689 0.528 0.081
O: 0.076 0.646 0.077
O: 0.582 0.648 0.079
O: 0.241 0.863 0.081
O: 0.745 0.874 0.090
O: 0.183 0.841 0.582
O: 0.686 0.842 0.579
O: 0.242 0.618 0.588
O: 0.743 0.617 0.583
O: 0.074 0.500 0.585
O: 0.575 0.505 0.578
O: 0.177 0.846 0.261
O: 0.685 0.880 0.260
O: 0.252 0.641 0.267
O: 0.764 0.661 0.248
O: 0.076 0.504 0.260
O: 0.572 0.490 0.254
O: 0.183 0.489 0.759
O: 0.675 0.506 0.760
O: 0.073 0.655 0.754
O: 0.575 0.647 0.760
O: 0.264 0.865 0.747
O: 0.751 0.859 0.764

Properties
Corrected total energy (MP2020 scheme), eV per cell: -1808.05
Space-group type: P1 (1)